#a
# HPd

A geometry-optimized HPd structure (PBE, the Materials Project database).

Lattice parameters (Å, degrees): 4.140 4.140 4.140 90.00 90.00 90.00
Space group Fm-3m (No. 225)
Asymmetric unit:
H: 0.000 0.000 0.000
Pd: 0.000 0.000 0.500

***

#b
# HPd

A geometry-optimized HPd structure (PBE, the Materials Project database).

Lattice parameters (Å, degrees): 2.9681 2.9681 5.0408 90.00 90.00 120.00
Space group P6_3mc (No. 186)
Asymmetric unit:
H: 0.3333 0.6667 0.0000
Pd: 0.3333 0.6667 0.3613

***

Q: What are the energies relative to the best structure? A: #a 0.020; #b 0.000, in eV/atom.

***

#a
# Ta2H

A geometry-optimized Ta2H structure (PBE, the Materials Project database).

Lattice parameters (Å, degrees): 3.388 3.388 3.427 90.00 90.00 90.00
Space group P-4m2 (No. 115)
Asymmetric unit:
Ta: 0.000 0.500 0.240
H: 0.500 0.500 0.500

***

#b
# Ta2H

A geometry-optimized Ta2H structure (PBE, the Materials Project database).

Lattice parameters (Å, degrees): 4.872 3.266 4.908 90.00 96.94 90.00
Space group C2/m (No. 12)
Asymmetric unit:
Ta: 0.235 0.000 0.263
H: 0.000 0.500 0.000

***

#c
# Ta2H

A geometry-optimized Ta2H structure (PBE, the Materials Project database).

Lattice parameters (Å, degrees): 3.438 4.763 4.803 90.00 90.00 90.00
Space group C222 (No. 21)
Asymmetric unit:
Ta: 0.250 0.250 0.235
H: 0.000 0.500 0.500

***

Q: What are the energies relative to the best structure? A: #a 0.038; #b 0.062; #c 0.000, in eV/atom.